# Li5MnCr3O8 (PBE+U, optimized geometry)
data_Li5MnCr3O8
_chemical_formula_sum 'Li10 Mn2 Cr6 O16'
_space_group_name_H-M_alt 'P 63 m c'
_space_group_IT_number 186
_space_group_name_Hall 'P 6c -2c'
_cell_length_a 6.0129
_cell_length_b 6.0129
_cell_length_c 9.9411
_cell_angle_alpha 90.00
_cell_angle_beta 90.00
_cell_angle_gamma 120.00
loop_
_atom_site_label
_atom_site_type_symbol
_atom_site_fract_x
_atom_site_fract_y
_atom_site_fract_z
_atom_site_occupancy
Li1 Li 0.0000 0.0000 0.0000 1
Li2 Li 0.1942 0.3885 0.4213 1
Li3 Li 0.3333 0.6667 0.2087 1
Mn1 Mn 0.3333 0.6667 0.9598 1
Cr1 Cr 0.1705 0.3411 0.6989 1
O1 O 0.0000 0.0000 0.3100 1
O2 O 0.0136 0.5068 0.8137 1
O3 O 0.1607 0.3214 0.0849 1
O4 O 0.3333 0.6667 0.5842 1
# - V (Å³/atom) = 9.2
# - energy relative to the elements (eV per atom) = -2.235
# - theoretical density (Mg/m³) = 4.0
# - energy above the most stable polymorph in this dataset (meV/atom) = 2